Density functional theory data (r2SCAN) for a relaxed structure of NdCrSb3.

Geometry as CIF:
```
data_NdCrSb3
_chemical_formula_sum 'Nd4 Cr4 Sb12'
_cell_length_a 13.163
_cell_length_b 6.193
_cell_length_c 6.255
_cell_angle_alpha 90.00
_cell_angle_beta 90.00
_cell_angle_gamma 90.00
_space_group_name_H-M_alt 'P 1'
_space_group_IT_number 1
_space_group_name_Hall 'P 1'
loop_
_atom_site_label
_atom_site_fract_x
_atom_site_fract_y
_atom_site_fract_z
Nd1 0.188 0.005 0.250
Nd2 0.188 0.495 0.750
Nd3 0.812 0.505 0.250
Nd4 0.812 0.995 0.750
Cr1 0.407 0.750 0.000
Cr2 0.407 0.750 0.500
Cr3 0.593 0.250 0.000
Cr4 0.593 0.250 0.500
Sb1 0.002 0.750 0.000
Sb2 0.002 0.750 0.500
Sb3 0.278 0.001 0.750
Sb4 0.278 0.499 0.250
Sb5 0.436 0.107 0.250
Sb6 0.436 0.393 0.750
Sb7 0.564 0.607 0.250
Sb8 0.564 0.893 0.750
Sb9 0.722 0.501 0.750
Sb10 0.722 0.999 0.250
Sb11 0.998 0.250 0.000
Sb12 0.998 0.250 0.500
```

Values from the calculation:
The space group is Pbcm. The formation energy comes out at -0.588 eV/atom. The calculation puts the raw total energy at -498.2 eV/cell. The crystal system is orthorhombic.


Density functional theory data (r2SCAN) for a relaxed structure of Pr2TlCd.

Geometry as CIF:
```
data_Pr2TlCd
_chemical_formula_sum 'Pr8 Tl4 Cd4'
_cell_length_a 7.799
_cell_length_b 7.799
_cell_length_c 7.799
_cell_angle_alpha 90.00
_cell_angle_beta 90.00
_cell_angle_gamma 90.00
_space_group_name_H-M_alt 'P 1'
_space_group_IT_number 1
_space_group_name_Hall 'P 1'
loop_
_atom_site_label
_atom_site_fract_x
_atom_site_fract_y
_atom_site_fract_z
Pr1 0.250 0.250 0.250
Pr2 0.250 0.250 0.750
Pr3 0.250 0.750 0.250
Pr4 0.250 0.750 0.750
Pr5 0.750 0.250 0.250
Pr6 0.750 0.250 0.750
Pr7 0.750 0.750 0.250
Pr8 0.750 0.750 0.750
Tl1 0.000 0.000 0.000
Tl2 0.000 0.500 0.500
Tl3 0.500 0.000 0.500
Tl4 0.500 0.500 0.000
Cd1 0.000 0.000 0.500
Cd2 0.000 0.500 0.000
Cd3 0.500 0.000 0.000
Cd4 0.500 0.500 0.500
```

Values from the calculation:
The space group is Fm-3m. The formation energy comes out at -0.452 eV/atom. The calculation puts the raw total energy at -535.6 eV/cell. The crystal system is cubic.


Density functional theory data (r2SCAN) for a relaxed structure of La3AlN.

Geometry as CIF:
```
data_La3AlN
_chemical_formula_sum 'La3 Al1 N1'
_cell_length_a 5.098
_cell_length_b 5.098
_cell_length_c 5.098
_cell_angle_alpha 90.00
_cell_angle_beta 90.00
_cell_angle_gamma 90.00
_space_group_name_H-M_alt 'P 1'
_space_group_IT_number 1
_space_group_name_Hall 'P 1'
loop_
_atom_site_label
_atom_site_fract_x
_atom_site_fract_y
_atom_site_fract_z
La1 0.000 0.000 0.500
La2 0.000 0.500 0.000
La3 0.500 0.000 0.000
Al1 0.500 0.500 0.500
N1 0.000 0.000 0.000
```

Values from the calculation:
The space group is Pm-3m. The formation energy comes out at -0.901 eV/atom. The calculation puts the raw total energy at -109.6 eV/cell. The crystal system is cubic.


Density functional theory data (r2SCAN) for a relaxed structure of Cr3C2.

Geometry as CIF:
```
data_Cr3C2
_chemical_formula_sum 'Cr12 C8'
_cell_length_a 5.441
_cell_length_b 2.788
_cell_length_c 11.389
_cell_angle_alpha 90.00
_cell_angle_beta 90.00
_cell_angle_gamma 90.00
_space_group_name_H-M_alt 'P 1'
_space_group_IT_number 1
_space_group_name_Hall 'P 1'
loop_
_atom_site_label
_atom_site_fract_x
_atom_site_fract_y
_atom_site_fract_z
Cr1 0.013 0.250 0.097
Cr2 0.133 0.750 0.431
Cr3 0.187 0.250 0.726
Cr4 0.313 0.750 0.226
Cr5 0.367 0.250 0.931
Cr6 0.487 0.750 0.597
Cr7 0.513 0.250 0.403
Cr8 0.633 0.750 0.069
Cr9 0.687 0.250 0.774
Cr10 0.813 0.750 0.274
Cr11 0.867 0.250 0.569
Cr12 0.987 0.750 0.903
C1 0.099 0.250 0.297
C2 0.239 0.250 0.548
C3 0.261 0.750 0.048
C4 0.401 0.750 0.797
C5 0.599 0.250 0.203
C6 0.739 0.250 0.952
C7 0.761 0.750 0.452
C8 0.901 0.750 0.703
```

Values from the calculation:
The space group is Pnma. The calculation puts the energy above the most stable polymorph in this dataset at 0.0 meV/atom. The formation energy comes out at 0.037 eV/atom. The calculation puts the raw total energy at -259.7 eV/cell. The crystal system is orthorhombic.


Density functional theory data (r2SCAN) for a relaxed structure of SbF4.

Geometry as CIF:
```
data_SbF4
_chemical_formula_sum 'Sb16 F64'
_cell_length_a 9.274
_cell_length_b 11.935
_cell_length_c 11.576
_cell_angle_alpha 90.00
_cell_angle_beta 107.19
_cell_angle_gamma 90.00
_space_group_name_H-M_alt 'P 1'
_space_group_IT_number 1
_space_group_name_Hall 'P 1'
loop_
_atom_site_label
_atom_site_fract_x
_atom_site_fract_y
_atom_site_fract_z
Sb1 0.104 0.154 0.349
Sb2 0.104 0.346 0.849
Sb3 0.258 0.075 0.057
Sb4 0.258 0.425 0.557
Sb5 0.274 0.661 0.957
Sb6 0.274 0.839 0.457
Sb7 0.305 0.095 0.708
Sb8 0.305 0.405 0.208
Sb9 0.695 0.595 0.792
Sb10 0.695 0.905 0.292
Sb11 0.726 0.161 0.543
Sb12 0.726 0.339 0.043
Sb13 0.742 0.575 0.443
Sb14 0.742 0.925 0.943
Sb15 0.896 0.654 0.151
Sb16 0.896 0.846 0.651
F1 0.111 0.177 0.956
F2 0.111 0.323 0.456
F3 0.126 0.688 0.035
F4 0.126 0.812 0.535
F5 0.143 0.548 0.487
F6 0.143 0.952 0.987
F7 0.146 0.081 0.174
F8 0.146 0.419 0.674
F9 0.149 0.536 0.873
F10 0.149 0.964 0.373
F11 0.151 0.201 0.743
F12 0.151 0.299 0.243
F13 0.157 0.112 0.541
F14 0.157 0.388 0.041
F15 0.171 0.749 0.325
F16 0.171 0.751 0.825
F17 0.172 0.521 0.229
F18 0.172 0.979 0.729
F19 0.319 0.159 0.398
F20 0.319 0.341 0.898
F21 0.358 0.078 0.936
F22 0.358 0.422 0.436
F23 0.362 0.207 0.129
F24 0.362 0.293 0.629
F25 0.363 0.556 0.085
F26 0.363 0.944 0.585
F27 0.394 0.722 0.541
F28 0.394 0.778 0.041
F29 0.411 0.510 0.663
F30 0.411 0.990 0.163
F31 0.417 0.619 0.880
F32 0.417 0.881 0.380
F33 0.583 0.119 0.620
F34 0.583 0.381 0.120
F35 0.589 0.010 0.837
F36 0.589 0.490 0.337
F37 0.606 0.222 0.959
F38 0.606 0.278 0.459
F39 0.637 0.056 0.415
F40 0.637 0.444 0.915
F41 0.638 0.707 0.371
F42 0.638 0.793 0.871
F43 0.642 0.578 0.564
F44 0.642 0.922 0.064
F45 0.681 0.659 0.102
F46 0.681 0.841 0.602
F47 0.828 0.021 0.271
F48 0.828 0.479 0.771
F49 0.829 0.249 0.175
F50 0.829 0.251 0.675
F51 0.843 0.612 0.959
F52 0.843 0.888 0.459
F53 0.849 0.701 0.757
F54 0.849 0.799 0.257
F55 0.851 0.036 0.627
F56 0.851 0.464 0.127
F57 0.854 0.581 0.326
F58 0.854 0.919 0.826
F59 0.857 0.048 0.013
F60 0.857 0.452 0.513
F61 0.874 0.188 0.465
F62 0.874 0.312 0.965
F63 0.889 0.677 0.544
F64 0.889 0.823 0.044
```

Values from the calculation:
The space group is P2_1/c. The formation energy comes out at -2.465 eV/atom. The calculation puts the raw total energy at -808.5 eV/cell. The crystal system is monoclinic.


Density functional theory data (r2SCAN) for a relaxed structure of Na2LiAu3.

Geometry as CIF:
```
data_Na2LiAu3
_chemical_formula_sum 'Na4 Li2 Au6'
_cell_length_a 5.537
_cell_length_b 5.537
_cell_length_c 8.655
_cell_angle_alpha 90.00
_cell_angle_beta 90.00
_cell_angle_gamma 120.00
_space_group_name_H-M_alt 'P 1'
_space_group_IT_number 1
_space_group_name_Hall 'P 1'
loop_
_atom_site_label
_atom_site_fract_x
_atom_site_fract_y
_atom_site_fract_z
Na1 0.333 0.667 0.068
Na2 0.333 0.667 0.432
Na3 0.667 0.333 0.568
Na4 0.667 0.333 0.932
Li1 0.000 0.000 0.000
Li2 0.000 0.000 0.500
Au1 0.168 0.336 0.750
Au2 0.168 0.832 0.750
Au3 0.336 0.168 0.250
Au4 0.664 0.832 0.750
Au5 0.832 0.168 0.250
Au6 0.832 0.664 0.250
```

Values from the calculation:
The space group is P6_3/mmc. The formation energy comes out at -0.470 eV/atom. The calculation puts the raw total energy at -328.2 eV/cell. The crystal system is hexagonal.